1.
# PBE Ho4MgTi2O10, optimized geometry
# Excess energy over the best structure of this formula in the dataset = 27.1 meV/atom
# V = 249 Å³/f.u.
# ΔE_f = -59.721 eV/f.u.
data_Ho4MgTi2O10
_cell_length_a 11.212
_cell_length_b 3.899
_cell_length_c 11.635
_cell_angle_alpha 90.00
_cell_angle_beta 102.00
_cell_angle_gamma 90.00
_symmetry_space_group_name_H-M 'C 1 2/m 1'
_symmetry_Int_Tables_number 12
_symmetry_space_group_name_Hall '-C 2y'
loop_
_atom_site_label
_atom_site_type_symbol
_atom_site_fract_x
_atom_site_fract_y
_atom_site_fract_z
Ho1 Ho 0.150 0.000 0.059
Ho2 Ho 0.179 0.000 0.381
Mg1 Mg 0.000 0.500 0.500
Ti1 Ti 0.134 0.000 0.767
O1 O 0.023 0.000 0.876
O2 O 0.026 0.000 0.622
O3 O 0.164 0.500 0.466
O4 O 0.202 0.500 0.753
O5 O 0.230 0.500 0.079

2.
# PBE HoMgPd, optimized geometry
# V = 65 Å³/f.u.
# ΔE_f = -2.087 eV/f.u.
data_HoMgPd
_cell_length_a 7.5070
_cell_length_b 7.5070
_cell_length_c 4.0080
_cell_angle_alpha 90.00
_cell_angle_beta 90.00
_cell_angle_gamma 120.00
_symmetry_space_group_name_H-M 'P -6 2 m'
_symmetry_Int_Tables_number 189
_symmetry_space_group_name_Hall 'P -6 -2'
loop_
_atom_site_label
_atom_site_type_symbol
_atom_site_fract_x
_atom_site_fract_y
_atom_site_fract_z
Ho1 Ho 0.0000 0.5894 0.0000
Mg1 Mg 0.0000 0.2481 0.5000
Pd1 Pd 0.0000 0.0000 0.0000
Pd2 Pd 0.3333 0.6667 0.5000

3.
# PBE Ho7Mg3Rh2, optimized geometry
# V = 313 Å³/f.u.
# ΔE_f = -4.647 eV/f.u.
data_Ho7Mg3Rh2
_cell_length_a 16.600
_cell_length_b 9.601
_cell_length_c 9.629
_cell_angle_alpha 90.00
_cell_angle_beta 125.28
_cell_angle_gamma 90.00
_symmetry_space_group_name_H-M 'C 1 m 1'
_symmetry_Int_Tables_number 8
_symmetry_space_group_name_Hall 'C -2y'
loop_
_atom_site_label
_atom_site_type_symbol
_atom_site_fract_x
_atom_site_fract_y
_atom_site_fract_z
Ho1 Ho 0.000 0.000 0.000
Ho2 Ho 0.002 0.000 0.613
Ho3 Ho 0.089 0.500 0.393
Ho4 Ho 0.154 0.310 0.148
Ho5 Ho 0.154 0.312 0.770
Ho6 Ho 0.219 0.000 0.020
Ho7 Ho 0.308 0.307 0.615
Ho8 Ho 0.344 0.500 0.147
Ho9 Ho 0.404 0.187 0.395
Ho10 Ho 0.465 0.000 0.772
Mg1 Mg 0.073 0.161 0.375
Mg2 Mg 0.234 0.000 0.378
Mg3 Mg 0.237 0.000 0.705
Mg4 Mg 0.404 0.186 0.024
Rh1 Rh 0.014 0.217 0.817
Rh2 Rh 0.294 0.500 0.381
Rh3 Rh 0.294 0.500 0.815